! LaCo5H3 | the Materials Project database | GGA-PBE | relaxed; values from VASP
&SYSTEM
  ibrav = 0, nat = 9, ntyp = 3
/
ATOMIC_SPECIES
La 138.91 La.upf
Co 58.93 Co.upf
H 1.01 H.upf
ATOMIC_POSITIONS crystal
La 0.000 0.000 0.000
Co 0.000 0.500 0.500
Co 0.339 0.000 0.622
Co 0.500 0.500 0.000
Co 0.500 0.500 0.500
Co 0.661 0.000 0.378
H 0.139 0.500 0.852
H 0.500 0.000 0.000
H 0.861 0.500 0.148
CELL_PARAMETERS angstrom
5.045 0.000 0.000
0.000 4.040 0.000
-2.494 0.000 4.601
! calculated density	7.73	g/cm³
! V	93.78	Å³ per cell
! formation enthalpy at 0 K	-0.14	eV per atom

! CoH2S4N4 | the Materials Project database | GGA-PBE | relaxed; values from VASP
&SYSTEM
  ibrav = 0, nat = 88, ntyp = 4
/
ATOMIC_SPECIES
Co 58.93 Co.upf
H 1.01 H.upf
S 32.06 S.upf
N 14.01 N.upf
ATOMIC_POSITIONS crystal
Co 0.107 0.122 0.300
Co 0.107 0.378 0.800
Co 0.374 0.635 0.580
Co 0.374 0.865 0.080
Co 0.626 0.135 0.920
Co 0.626 0.365 0.420
Co 0.893 0.622 0.200
Co 0.893 0.878 0.700
H 0.068 0.680 0.530
H 0.068 0.820 0.030
H 0.088 0.037 0.288
H 0.088 0.463 0.788
H 0.279 0.684 0.625
H 0.279 0.816 0.125
H 0.322 0.146 0.210
H 0.322 0.354 0.710
H 0.678 0.646 0.290
H 0.678 0.854 0.790
H 0.721 0.184 0.875
H 0.721 0.316 0.375
H 0.912 0.537 0.212
H 0.912 0.963 0.712
H 0.932 0.180 0.970
H 0.932 0.320 0.470
S 0.053 0.638 0.271
S 0.053 0.862 0.771
S 0.080 0.108 0.529
S 0.080 0.392 0.029
S 0.109 0.151 0.055
S 0.109 0.349 0.555
S 0.186 0.681 0.809
S 0.186 0.819 0.309
S 0.286 0.124 0.523
S 0.286 0.376 0.023
S 0.354 0.573 0.891
S 0.354 0.927 0.391
S 0.377 0.611 0.345
S 0.377 0.889 0.845
S 0.488 0.197 0.913
S 0.488 0.303 0.413
S 0.512 0.697 0.587
S 0.512 0.803 0.087
S 0.623 0.111 0.155
S 0.623 0.389 0.655
S 0.646 0.073 0.609
S 0.646 0.427 0.109
S 0.714 0.624 0.977
S 0.714 0.876 0.477
S 0.814 0.181 0.691
S 0.814 0.319 0.191
S 0.891 0.651 0.445
S 0.891 0.849 0.945
S 0.920 0.608 0.971
S 0.920 0.892 0.471
S 0.947 0.138 0.229
S 0.947 0.362 0.729
N 0.018 0.657 0.445
N 0.018 0.843 0.945
N 0.192 0.110 0.627
N 0.192 0.390 0.127
N 0.246 0.130 0.350
N 0.246 0.370 0.850
N 0.250 0.625 0.926
N 0.250 0.875 0.426
N 0.344 0.162 0.097
N 0.344 0.338 0.597
N 0.356 0.536 0.260
N 0.356 0.964 0.760
N 0.372 0.564 0.720
N 0.372 0.936 0.220
N 0.437 0.163 0.088
N 0.437 0.337 0.588
N 0.563 0.663 0.412
N 0.563 0.837 0.912
N 0.628 0.064 0.780
N 0.628 0.436 0.280
N 0.644 0.036 0.240
N 0.644 0.464 0.740
N 0.656 0.662 0.403
N 0.656 0.838 0.903
N 0.750 0.125 0.574
N 0.750 0.375 0.074
N 0.754 0.630 0.150
N 0.754 0.870 0.650
N 0.808 0.610 0.873
N 0.808 0.890 0.373
N 0.982 0.157 0.055
N 0.982 0.343 0.555
CELL_PARAMETERS angstrom
13.029 0.000 0.000
0.000 16.945 0.000
-0.649 0.000 8.791
! calculated density	1.68	g/cm³
! V	1940.94	Å³ per cell
! formation enthalpy at 0 K	0.31	eV per atom

! PrCo5H4 | the Materials Project database | GGA-PBE | relaxed; values from VASP
&SYSTEM
  ibrav = 0, nat = 10, ntyp = 3
/
ATOMIC_SPECIES
Pr 140.91 Pr.upf
Co 58.93 Co.upf
H 1.01 H.upf
ATOMIC_POSITIONS crystal
Pr 0.000 0.000 0.000
Co 0.000 0.500 0.500
Co 0.365 0.635 0.000
Co 0.500 0.000 0.500
Co 0.500 0.500 0.500
Co 0.635 0.365 0.000
H 0.000 0.500 0.000
H 0.145 0.855 0.500
H 0.500 0.000 0.000
H 0.855 0.145 0.500
CELL_PARAMETERS angstrom
2.735 -4.418 0.000
2.735 4.418 0.000
0.000 0.000 4.039
! calculated density	7.48	g/cm³
! V	97.64	Å³ per cell
! formation enthalpy at 0 K	-0.16	eV per atom

! ZrCoH3 | the Materials Project database | GGA-PBE | relaxed; values from VASP
&SYSTEM
  ibrav = 0, nat = 10, ntyp = 3
/
ATOMIC_SPECIES
Zr 91.22 Zr.upf
Co 58.93 Co.upf
H 1.01 H.upf
ATOMIC_POSITIONS crystal
Zr 0.133 0.867 0.750
Zr 0.867 0.133 0.250
Co 0.427 0.573 0.750
Co 0.573 0.427 0.250
H 0.074 0.926 0.250
H 0.314 0.686 0.005
H 0.314 0.686 0.495
H 0.686 0.314 0.505
H 0.686 0.314 0.995
H 0.926 0.074 0.750
CELL_PARAMETERS angstrom
1.771 -5.195 0.000
1.771 5.195 0.000
0.000 0.000 4.313
! calculated density	6.41	g/cm³
! V	79.37	Å³ per cell
! formation enthalpy at 0 K	-0.50	eV per atom

! Hf6Co23 | the Materials Project database | GGA-PBE | relaxed; values from VASP
&SYSTEM
  ibrav = 0, nat = 29, ntyp = 2
/
ATOMIC_SPECIES
Hf 178.49 Hf.upf
Co 58.93 Co.upf
ATOMIC_POSITIONS crystal
Hf 0.210 0.210 0.790
Hf 0.210 0.790 0.210
Hf 0.210 0.790 0.790
Hf 0.790 0.210 0.210
Hf 0.790 0.210 0.790
Hf 0.790 0.790 0.210
Co 0.000 0.000 0.500
Co 0.000 0.500 0.000
Co 0.000 0.500 0.500
Co 0.140 0.620 0.620
Co 0.173 0.173 0.173
Co 0.173 0.173 0.480
Co 0.173 0.480 0.173
Co 0.380 0.380 0.380
Co 0.380 0.380 0.860
Co 0.380 0.860 0.380
Co 0.480 0.173 0.173
Co 0.500 0.000 0.000
Co 0.500 0.000 0.500
Co 0.500 0.500 0.000
Co 0.500 0.500 0.500
Co 0.520 0.827 0.827
Co 0.620 0.140 0.620
Co 0.620 0.620 0.140
Co 0.620 0.620 0.620
Co 0.827 0.520 0.827
Co 0.827 0.827 0.520
Co 0.827 0.827 0.827
Co 0.860 0.380 0.380
CELL_PARAMETERS angstrom
0.000 5.677 5.677
5.677 0.000 5.677
5.677 5.677 0.000
! calculated density	11.01	g/cm³
! V	366.01	Å³ per cell
! formation enthalpy at 0 K	-0.25	eV per atom

! Hf2Co | the Materials Project database | GGA-PBE | relaxed; values from VASP
&SYSTEM
  ibrav = 0, nat = 24, ntyp = 2
/
ATOMIC_SPECIES
Hf 178.49 Hf.upf
Co 58.93 Co.upf
ATOMIC_POSITIONS crystal
Hf 0.000 0.000 0.000
Hf 0.000 0.000 0.500
Hf 0.000 0.500 0.000
Hf 0.187 0.187 0.563
Hf 0.187 0.563 0.187
Hf 0.187 0.563 0.563
Hf 0.437 0.437 0.813
Hf 0.437 0.813 0.437
Hf 0.437 0.813 0.813
Hf 0.500 0.000 0.000
Hf 0.563 0.187 0.187
Hf 0.563 0.187 0.563
Hf 0.563 0.563 0.187
Hf 0.813 0.437 0.437
Hf 0.813 0.437 0.813
Hf 0.813 0.813 0.437
Co 0.166 0.778 0.778
Co 0.222 0.222 0.222
Co 0.222 0.222 0.834
Co 0.222 0.834 0.222
Co 0.778 0.166 0.778
Co 0.778 0.778 0.166
Co 0.778 0.778 0.778
Co 0.834 0.222 0.222
CELL_PARAMETERS angstrom
0.000 6.008 6.008
6.008 0.000 6.008
6.008 6.008 0.000
! calculated density	12.74	g/cm³
! V	433.82	Å³ per cell
! formation enthalpy at 0 K	-0.29	eV per atom

! HfCo3 | the Materials Project database | GGA-PBE | relaxed; values from VASP
&SYSTEM
  ibrav = 0, nat = 8, ntyp = 2
/
ATOMIC_SPECIES
Hf 178.49 Hf.upf
Co 58.93 Co.upf
ATOMIC_POSITIONS crystal
Hf 0.333 0.667 0.250
Hf 0.667 0.333 0.750
Co 0.155 0.310 0.750
Co 0.155 0.845 0.750
Co 0.310 0.155 0.250
Co 0.690 0.845 0.750
Co 0.845 0.155 0.250
Co 0.845 0.690 0.250
CELL_PARAMETERS angstrom
5.334 0.000 0.000
-2.667 4.619 0.000
0.000 0.000 4.241
! calculated density	11.29	g/cm³
! V	104.50	Å³ per cell
! formation enthalpy at 0 K	-0.21	eV per atom

! HfMg6Co | the Materials Project database | GGA-PBE | relaxed; values from VASP
&SYSTEM
  ibrav = 0, nat = 16, ntyp = 3
/
ATOMIC_SPECIES
Hf 178.49 Hf.upf
Co 58.93 Co.upf
Mg 24.30 Mg.upf
ATOMIC_POSITIONS crystal
Hf 0.000 0.500 0.180
Co 0.000 0.000 0.166
Mg 0.000 0.252 0.428
Hf 0.000 0.000 0.680
Mg 0.000 0.248 0.928
Mg 0.000 0.748 0.428
Mg 0.500 0.247 0.081
Mg 0.500 0.000 0.306
Mg 0.500 0.000 0.830
Mg 0.500 0.747 0.581
Mg 0.500 0.753 0.081
Mg 0.000 0.752 0.928
Mg 0.500 0.500 0.330
Mg 0.500 0.253 0.581
Mg 0.500 0.500 0.806
Co 0.000 0.500 0.666
CELL_PARAMETERS angstrom
4.916 0.000 0.000
0.000 5.764 0.000
0.000 0.000 11.244
! energy above the lowest structure with this stoichiometry	48	meV/atom
! calculated density	3.99	g/cm³
! V	318.61	Å³ per cell
! formation enthalpy at 0 K	0.18	eV per atom

! HfMg6Co | the Materials Project database | GGA-PBE | relaxed; values from VASP
&SYSTEM
  ibrav = 0, nat = 16, ntyp = 3
/
ATOMIC_SPECIES
Mg 24.30 Mg.upf
Hf 178.49 Hf.upf
Co 58.93 Co.upf
ATOMIC_POSITIONS crystal
Mg 0.000 0.243 0.580
Mg 0.500 0.743 0.426
Mg 0.500 0.257 0.426
Hf 0.500 0.500 0.193
Co 0.000 0.500 0.301
Mg 0.500 0.243 0.926
Mg 0.000 0.500 0.827
Mg 0.000 0.743 0.080
Mg 0.500 0.757 0.926
Mg 0.000 0.757 0.580
Hf 0.500 0.000 0.693
Mg 0.500 0.000 0.167
Co 0.000 0.000 0.801
Mg 0.000 0.000 0.327
Mg 0.000 0.257 0.080
Mg 0.500 0.500 0.667
CELL_PARAMETERS angstrom
4.796 0.000 0.000
0.000 6.097 0.000
0.000 0.000 11.135
! energy above the lowest structure with this stoichiometry	0	meV/atom
! calculated density	3.91	g/cm³
! V	325.66	Å³ per cell
! formation enthalpy at 0 K	0.13	eV per atom

! Hf2CoOs | the Materials Project database | GGA-PBE | relaxed; values from VASP
&SYSTEM
  ibrav = 0, nat = 16, ntyp = 3
/
ATOMIC_SPECIES
Hf 178.49 Hf.upf
Co 58.93 Co.upf
Os 190.23 Os.upf
ATOMIC_POSITIONS crystal
Hf 0.250 0.250 0.250
Hf 0.250 0.250 0.750
Hf 0.250 0.750 0.250
Hf 0.250 0.750 0.750
Hf 0.750 0.250 0.250
Hf 0.750 0.250 0.750
Hf 0.750 0.750 0.250
Hf 0.750 0.750 0.750
Co 0.000 0.000 0.000
Co 0.000 0.500 0.500
Co 0.500 0.000 0.500
Co 0.500 0.500 0.000
Os 0.000 0.000 0.500
Os 0.000 0.500 0.000
Os 0.500 0.000 0.000
Os 0.500 0.500 0.500
CELL_PARAMETERS angstrom
6.453 0.000 0.000
0.000 6.453 0.000
0.000 0.000 6.453
! calculated density	14.98	g/cm³
! V	268.74	Å³ per cell
! formation enthalpy at 0 K	-0.57	eV per atom

! Hf2CoP | the Materials Project database | GGA-PBE | relaxed; values from VASP
&SYSTEM
  ibrav = 0, nat = 8, ntyp = 3
/
ATOMIC_SPECIES
Hf 178.49 Hf.upf
Co 58.93 Co.upf
P 30.97 P.upf
ATOMIC_POSITIONS crystal
Hf 0.206 0.250 0.419
Hf 0.273 0.750 0.065
Hf 0.727 0.250 0.935
Hf 0.794 0.750 0.581
Co 0.142 0.250 0.790
Co 0.858 0.750 0.210
P 0.362 0.750 0.711
P 0.638 0.250 0.289
CELL_PARAMETERS angstrom
5.186 0.000 0.000
0.000 3.606 0.000
-2.468 0.000 6.934
! calculated density	11.44	g/cm³
! V	129.69	Å³ per cell
! formation enthalpy at 0 K	-0.93	eV per atom

! Hf20Co5P11 | the Materials Project database | GGA-PBE | relaxed; values from VASP
&SYSTEM
  ibrav = 0, nat = 36, ntyp = 3
/
ATOMIC_SPECIES
Hf 178.49 Hf.upf
Co 58.93 Co.upf
P 30.97 P.upf
ATOMIC_POSITIONS crystal
Hf 0.000 0.000 0.000
Hf 0.003 0.000 0.500
Hf 0.065 0.000 0.301
Hf 0.130 0.500 0.141
Hf 0.190 0.500 0.745
Hf 0.237 0.500 0.441
Hf 0.262 0.000 0.901
Hf 0.311 0.000 0.592
Hf 0.371 0.000 0.190
Hf 0.428 0.500 0.036
Hf 0.495 0.500 0.836
Hf 0.503 0.500 0.336
Hf 0.565 0.500 0.537
Hf 0.628 0.000 0.692
Hf 0.690 0.000 0.092
Hf 0.738 0.000 0.396
Hf 0.764 0.500 0.940
Hf 0.810 0.500 0.245
Hf 0.871 0.500 0.645
Hf 0.933 0.000 0.799
Co 0.116 0.500 0.580
Co 0.246 0.000 0.055
Co 0.383 0.000 0.755
Co 0.615 0.000 0.257
Co 0.883 0.500 0.081
P 0.062 0.000 0.659
P 0.062 0.500 0.885
P 0.254 0.500 0.285
P 0.435 0.000 0.451
P 0.439 0.500 0.678
P 0.562 0.500 0.177
P 0.568 0.000 0.950
P 0.744 0.500 0.784
P 0.755 0.000 0.552
P 0.935 0.500 0.386
P 0.937 0.000 0.161
CELL_PARAMETERS angstrom
10.225 0.000 0.000
0.000 3.594 0.000
-0.077 0.000 17.081
! calculated density	11.12	g/cm³
! V	627.69	Å³ per cell
! formation enthalpy at 0 K	-0.99	eV per atom

! Hf2CoRe | the Materials Project database | GGA-PBE | relaxed; values from VASP
&SYSTEM
  ibrav = 0, nat = 16, ntyp = 3
/
ATOMIC_SPECIES
Hf 178.49 Hf.upf
Co 58.93 Co.upf
Re 186.21 Re.upf
ATOMIC_POSITIONS crystal
Hf 0.250 0.250 0.250
Hf 0.250 0.250 0.750
Hf 0.250 0.750 0.250
Hf 0.250 0.750 0.750
Hf 0.750 0.250 0.250
Hf 0.750 0.250 0.750
Hf 0.750 0.750 0.250
Hf 0.750 0.750 0.750
Co 0.000 0.000 0.000
Co 0.000 0.500 0.500
Co 0.500 0.000 0.500
Co 0.500 0.500 0.000
Re 0.000 0.000 0.500
Re 0.000 0.500 0.000
Re 0.500 0.000 0.000
Re 0.500 0.500 0.500
CELL_PARAMETERS angstrom
6.450 0.000 0.000
0.000 6.450 0.000
0.000 0.000 6.450
! calculated density	14.90	g/cm³
! V	268.38	Å³ per cell
! formation enthalpy at 0 K	-0.41	eV per atom

! Hf9CoRe4 | the Materials Project database | GGA-PBE | relaxed; values from VASP
&SYSTEM
  ibrav = 0, nat = 28, ntyp = 3
/
ATOMIC_SPECIES
Hf 178.49 Hf.upf
Co 58.93 Co.upf
Re 186.21 Re.upf
ATOMIC_POSITIONS crystal
Hf 0.082 0.541 0.250
Hf 0.200 0.399 0.558
Hf 0.200 0.399 0.942
Hf 0.200 0.800 0.558
Hf 0.200 0.800 0.942
Hf 0.399 0.200 0.058
Hf 0.399 0.200 0.442
Hf 0.459 0.541 0.250
Hf 0.459 0.918 0.250
Hf 0.541 0.082 0.750
Hf 0.541 0.459 0.750
Hf 0.601 0.800 0.558
Hf 0.601 0.800 0.942
Hf 0.800 0.200 0.058
Hf 0.800 0.200 0.442
Hf 0.800 0.601 0.058
Hf 0.800 0.601 0.442
Hf 0.918 0.459 0.750
Co 0.333 0.667 0.750
Co 0.667 0.333 0.250
Re 0.000 0.000 0.000
Re 0.000 0.000 0.500
Re 0.111 0.222 0.250
Re 0.111 0.889 0.250
Re 0.222 0.111 0.750
Re 0.778 0.889 0.250
Re 0.889 0.111 0.750
Re 0.889 0.778 0.750
CELL_PARAMETERS angstrom
8.566 0.000 0.000
-4.283 7.418 0.000
0.000 0.000 8.478
! calculated density	14.86	g/cm³
! V	538.69	Å³ per cell
! formation enthalpy at 0 K	-0.35	eV per atom

! Hf3CoS6 | the Materials Project database | GGA-PBE | relaxed; values from VASP
&SYSTEM
  ibrav = 0, nat = 10, ntyp = 3
/
ATOMIC_SPECIES
Hf 178.49 Hf.upf
Co 58.93 Co.upf
S 32.06 S.upf
ATOMIC_POSITIONS crystal
Hf 0.000 0.000 0.000
Hf 0.329 0.329 0.329
Hf 0.671 0.671 0.671
Co 0.500 0.500 0.500
S 0.097 0.749 0.418
S 0.251 0.582 0.903
S 0.418 0.097 0.749
S 0.582 0.903 0.251
S 0.749 0.418 0.097
S 0.903 0.251 0.582
CELL_PARAMETERS angstrom
3.088 1.783 5.759
-3.088 1.783 5.759
0.000 -3.566 5.759
! calculated density	6.87	g/cm³
! V	190.22	Å³ per cell
! formation enthalpy at 0 K	-1.64	eV per atom

! HfZrCo2Sb2 | the Materials Project database | GGA-PBE | relaxed; values from VASP
&SYSTEM
  ibrav = 0, nat = 6, ntyp = 4
/
ATOMIC_SPECIES
Hf 178.49 Hf.upf
Zr 91.22 Zr.upf
Co 58.93 Co.upf
Sb 121.76 Sb.upf
ATOMIC_POSITIONS crystal
Hf 0.000 0.000 0.000
Zr 0.499 0.499 0.499
Co 0.124 0.124 0.124
Co 0.625 0.625 0.625
Sb 0.373 0.373 0.373
Sb 0.875 0.875 0.875
CELL_PARAMETERS angstrom
2.293 1.324 7.438
-2.293 1.324 7.438
0.000 -2.648 7.438
! calculated density	7.74	g/cm³
! V	135.48	Å³ per cell
! formation enthalpy at 0 K	0.12	eV per atom